# 1
Material: TiAu
Method: DFT, GGA-PBE
State: relaxed

Calculated formation energy, eV per atom: -0.3873
Energy, eV per atom: -5.972
V, Å³/cell: 69.0

a b c (Å): 3.0130 4.6386 4.9357
angles (deg): 90.00 90.00 90.00
Last column: nearest neighbours and their distance in Å.
Positions (direct):
Au (0.5000, 0.2500, 0.1812)  8 Ti 2.84-2.92, 4 Au 2.93-3.01
Au (0.5000, 0.7500, 0.8188)  8 Ti 2.84-2.92, 4 Au 2.93-3.01
Ti (0.0000, 0.2500, 0.6870)  8 Au 2.84-2.92, 4 Ti 2.96-3.01
Ti (0.0000, 0.7500, 0.3130)  8 Au 2.84-2.92, 4 Ti 2.96-3.01

=====

# 2
Material: K6Rh2C12O33
Method: DFT, GGA-PBE
State: relaxed

Calculated formation energy, eV per atom: -0.9937
Energy, eV per atom: -6.568
Spin magnetization, μB/cell: 8.6
V, Å³/cell: 880.1

a b c (Å): 6.8927 10.3921 12.5806
angles (deg): 78.08 88.49 86.65
Last column: nearest neighbours and their distance in Å.
Positions (direct):
Rh (0.1637, 0.1850, 0.7112)  6 O 2.03-2.05
Rh (0.8396, 0.8142, 0.2859)  6 O 2.03-2.06
O (0.3832, 0.8487, 0.6304)  1 C 1.24
O (0.9808, 0.6335, 0.3173)  1 C 1.30
O (0.0459, 0.8377, 0.9786)  1 C 1.25
O (0.5782, 0.3954, 0.1520)  1 O 1.32
O (0.9524, 0.1584, 0.0177)  1 C 1.25
O (0.4940, 0.5999, 0.8502)  1 O 1.24
O (0.1571, 0.1695, 0.5520)  1 C 1.31
O (0.8269, 0.7830, 0.8571)  1 O 2.35
O (0.2275, 0.0228, 0.4468)  1 C 1.24
O (0.0256, 0.3669, 0.6820)  1 C 1.30
O (0.5375, 0.5195, 0.1045)  2 O 1.31-1.32
O (0.6834, 0.0769, 0.8893)  1 C 1.23
O (0.7772, 0.9808, 0.5483)  1 C 1.24
O (0.0816, 0.5795, 0.6166)  1 C 1.24
O (0.6184, 0.1524, 0.3643)  1 C 1.24
O (0.6029, 0.7036, 0.3313)  1 C 1.31
O (0.5261, 0.4925, 0.3851)  1 C 1.24
O (0.9278, 0.4208, 0.3828)  1 C 1.24
O (0.4022, 0.2948, 0.6692)  1 C 1.31
O (0.2655, 0.3931, 0.9674)  1 O 1.24
O (0.6956, 0.9953, 0.2690)  1 C 1.30
O (0.1197, 0.4544, 0.9942)  1 O 1.24
O (0.4832, 0.5063, 0.6229)  1 C 1.24
O (0.9064, 0.1003, 0.7533)  1 C 1.30
O (0.3044, 0.0037, 0.7272)  1 C 1.30
O (0.0935, 0.9007, 0.2416)  1 C 1.30
O (0.3668, 0.5700, 0.1279)  1 O 1.31
O (0.8499, 0.8339, 0.4438)  1 C 1.31
O (0.6275, 0.5141, 0.8696)  1 O 1.24
O (0.8401, 0.8061, 0.1240)  1 C 1.29
O (0.1625, 0.1863, 0.8741)  1 C 1.29
O (0.3121, 0.9302, 0.1041)  1 C 1.23
O (0.1630, 0.2079, 0.1427)  1 O 2.32
C (0.1396, 0.4629, 0.6475)  2 O 1.24-1.30
C (0.8452, 0.1070, 0.8509)  2 O 1.23-1.30
C (0.6470, 0.5770, 0.3571)  2 O 1.24-1.31
C (0.0015, 0.8406, 0.0748)  2 O 1.25-1.29
C (0.9985, 0.1557, 0.9215)  2 O 1.25-1.29
C (0.7801, 0.9493, 0.4587)  2 O 1.24-1.31
C (0.1532, 0.8952, 0.1436)  2 O 1.23-1.30
C (0.3609, 0.4221, 0.6460)  2 O 1.24-1.31
C (0.6914, 0.0426, 0.3573)  2 O 1.24-1.30
C (0.2251, 0.0543, 0.5363)  2 O 1.24-1.31
C (0.8679, 0.5370, 0.3528)  2 O 1.24-1.30
C (0.3109, 0.9587, 0.6378)  2 O 1.24-1.30
K (0.5506, 0.1450, 0.0819)  6 O 2.72-2.93
K (0.7398, 0.2521, 0.5447)  6 O 2.75-2.99
K (0.7394, 0.7044, 0.6553)  7 O 2.71-2.99
K (0.2623, 0.7501, 0.4497)  7 O 2.77-3.05
K (0.4513, 0.8650, 0.9198)  5 O 2.69-2.89
K (0.2796, 0.3177, 0.3219)  5 O 2.75-2.95

=====

# 3
Material: GdHoIr2
Method: DFT, GGA-PBE
State: relaxed

Calculated formation energy, eV per atom: -0.7847
Energy, eV per atom: -9.869
Spin magnetization, μB/cell: 7.0
V, Å³/cell: 81.3

a b c (Å): 4.8617 4.8617 4.8617
angles (deg): 60.00 60.00 60.00
Last column: nearest neighbours and their distance in Å.
Positions (direct):
Ir (0.2500, 0.2500, 0.2500)  4 Gd 2.98, 4 Ho 2.98
Ir (0.7500, 0.7500, 0.7500)  4 Gd 2.98, 4 Ho 2.98
Gd (0.5000, 0.5000, 0.5000)  8 Ir 2.98
Ho (0.0000, 0.0000, 0.0000)  8 Ir 2.98

=====

# 4
Material: Te2Mo3S4
Method: DFT, GGA-PBE
State: relaxed

Calculated formation energy, eV per atom: -0.8235
Energy, eV per atom: -6.752
Spin magnetization, μB/cell: 0.0
V, Å³/cell: 288.2

a b c (Å): 3.3045 3.3045 30.4778
angles (deg): 90.00 90.00 120.00
Last column: nearest neighbours and their distance in Å.
Positions (direct):
Mo (0.0000, 0.0000, 0.7686)  6 S 2.45
Mo (0.3333, 0.6667, 0.0000)  6 Te 2.70
Mo (0.0000, 0.0000, 0.2314)  6 S 2.45
S (0.3333, 0.6667, 0.1812)  3 Mo 2.45
S (0.3333, 0.6667, 0.2816)  3 Mo 2.45
S (0.3333, 0.6667, 0.8188)  3 Mo 2.45
S (0.3333, 0.6667, 0.7184)  3 Mo 2.45
Te (0.0000, 0.0000, 0.9372)  3 Mo 2.70
Te (0.0000, 0.0000, 0.0628)  3 Mo 2.70